DFT (PBE+U) results for a relaxed structure of MgP2WO7.

Results
The energy above the lowest structure with this stoichiometry is 33 meV/atom. The value obtained for the total magnetic moment is 0.2727 μB/atom. The formation energy is -2.37 eV/atom.

a = 6.4599 Å, b = 6.8429 Å, c = 7.3142 Å
α = 107.00°, β = 112.59°, γ = 84.40°
Sites, in units of the cell vectors:
O1 0.1766 0.2755 0.7047
O2 0.4087 0.2202 0.4818
O3 0.1124 0.9427 0.2399
O4 0.3705 0.0811 0.1142
O5 0.5913 0.7798 0.5182
O6 0.6742 0.4182 0.3422
O7 0.5953 0.3539 0.8603
O8 0.8876 0.0573 0.7601
O9 0.6295 0.9189 0.8858
O10 0.4047 0.6461 0.1397
O11 0.3258 0.5818 0.6578
O12 0.8234 0.7245 0.2953
O13 0.0493 0.2972 0.2099
O14 0.9507 0.7028 0.7901
W1 0.8956 0.3809 0.7862
W2 0.1044 0.6191 0.2138
P1 0.7727 0.8704 0.7496
P2 0.3670 0.3676 0.6832
P3 0.6330 0.6324 0.3168
P4 0.2273 0.1296 0.2504
Mg1 0.6700 0.1980 0.0947
Mg2 0.3300 0.8020 0.9053


DFT (PBE+U) results for a relaxed structure of GaFe2BO5.

Results
The value obtained for the total magnetic moment is 0.8889 μB/atom. The formation energy is -2.13 eV/atom.

a = 3.0590 Å, b = 9.6728 Å, c = 12.4118 Å
α = 90.00°, β = 90.00°, γ = 90.00°
Sites, in units of the cell vectors:
O1 0.0000 0.3410 0.2654
O2 0.5000 0.3843 0.6423
O3 0.0000 0.8439 0.0407
O4 0.5000 0.3774 0.0826
O5 0.0000 0.3739 0.8625
O6 0.0000 0.1590 0.7654
O7 0.0000 0.8410 0.2346
O8 0.0000 0.6590 0.7346
O9 0.5000 0.6226 0.9174
O10 0.5000 0.8843 0.8577
O11 0.5000 0.6157 0.3577
O12 0.0000 0.1561 0.9593
O13 0.5000 0.8774 0.4174
O14 0.0000 0.6561 0.5407
O15 0.0000 0.6261 0.1375
O16 0.5000 0.1226 0.5826
O17 0.0000 0.8739 0.6375
O18 0.0000 0.3439 0.4593
O19 0.0000 0.1261 0.3625
O20 0.5000 0.1157 0.1423
Fe1 0.5000 0.5000 0.5000
Fe2 0.5000 0.0000 0.0000
Fe3 0.5000 0.4991 0.7780
Fe4 0.5000 0.5009 0.2220
Fe5 0.0000 0.5000 0.0000
Fe6 0.0000 0.0000 0.5000
Fe7 0.5000 0.0009 0.2780
Fe8 0.5000 0.9991 0.7220
Ga1 0.0000 0.2423 0.1173
Ga2 0.0000 0.7423 0.3827
Ga3 0.0000 0.7577 0.8827
Ga4 0.0000 0.2577 0.6173
B1 0.0000 0.7694 0.1370
B2 0.0000 0.2306 0.8630
B3 0.0000 0.7306 0.6370
B4 0.0000 0.2694 0.3630


DFT (PBE+U) results for a relaxed structure of NiPdO3.

Results
The value obtained for the total magnetic moment is 0.7640 μB/atom. The formation energy is -0.14 eV/atom.

a = 3.6901 Å, b = 3.6901 Å, c = 3.6901 Å
α = 90.00°, β = 90.00°, γ = 90.00°
Sites, in units of the cell vectors:
O1 0.5000 0.0000 0.5000
O2 0.5000 0.5000 0.0000
O3 0.0000 0.5000 0.5000
Pd1 0.0000 0.0000 0.0000
Ni1 0.5000 0.5000 0.5000